Cr6C3N, relaxed, DFT PBE; energy above the lowest structure with this stoichiometry = 0.064 eV/atom; uncorrected energy = -94.9 eV for the cell shown; ΔE_f = -134 meV per atom; mass density = 6.68 g/cm3
1.0
7.000 0.000 0.000
0.000 1.392 4.619
0.000 -1.392 4.619
Cr C N
6 3 1
Direct
0.000 0.000 0.000
0.170 0.734 0.734
0.316 0.450 0.450
0.500 0.207 0.207
0.684 0.450 0.450
0.830 0.734 0.734
0.000 0.351 0.351
0.256 0.095 0.095
0.744 0.095 0.095
0.500 0.853 0.853